13
Lattice="-0.111 3.966 3.144 -1.049 -4.637 1.738 7.813 -1.130 1.701" Properties=species:S:1:pos:R:3 comment="PBE ZrFe6Ge6, relaxed" volume_a3_per_atom=13.784 formation_enthalpy_0k_mev_per_atom=-255 pbc="T T T"
Zr 0.000 0.000 0.000
Fe 1.895 1.701 1.996
Fe 1.371 -0.618 2.865
Fe 1.426 -2.601 1.293
Fe 5.283 -1.183 3.717
Fe 5.338 -3.166 2.145
Fe 5.807 1.135 2.848
Ge -0.736 -1.769 2.206
Ge -0.424 1.098 2.675
Ge 2.676 -0.387 0.583
Ge 3.483 0.533 3.525
Ge 3.170 -2.334 3.057
Ge 5.137 -0.743 1.118

4
Lattice="0.000 3.286 3.286 3.286 0.000 3.286 3.286 3.286 0.000" Properties=species:S:1:pos:R:3 comment="PBE SiAu3, relaxed" volume_a3_per_atom=17.736 formation_enthalpy_0k_mev_per_atom=164 m_tot_mub_per_fu=0.00 pbc="T T T"
Si 0.000 0.000 0.000
Au 1.643 1.643 1.643
Au 4.929 4.929 4.929
Au 3.286 3.286 3.286

15
Lattice="6.346 0.000 3.664 2.115 6.224 3.664 0.000 0.000 7.328" Properties=species:S:1:pos:R:3 comment="PBE MgZr4Cu2S8, relaxed" volume_a3_per_atom=19.297 formation_enthalpy_0k_mev_per_atom=-1500 m_tot_mub_per_fu=0.00 polymorph_energy_mev_per_atom=0 pbc="T T T"
Mg 1.058 3.112 1.832
Zr 4.231 3.112 3.664
Zr 4.231 3.112 7.328
Zr 1.058 3.112 5.496
Zr 3.173 0.000 5.496
Cu 7.404 5.685 12.824
Cu 1.058 0.539 1.832
S 6.351 4.674 11.001
S 2.111 1.549 7.337
S 3.173 4.572 5.496
S 5.298 1.549 5.496
S 5.289 1.652 9.160
S 3.164 4.674 9.160
S 2.111 1.549 3.656
S 6.351 4.674 7.320